Compound: EuB4Ru
Source: the Materials Project
Functional: PBE
Structure: optimized geometry

Unit cell a=6.039 b=11.691 c=3.589 alpha=90.00 beta=90.00 gamma=90.00
Fractional coordinates of all 24 atoms:
Eu 0.128 0.150 0.000
Eu 0.372 0.650 0.000
Eu 0.628 0.350 0.000
Eu 0.872 0.850 0.000
B 0.024 0.690 0.500
B 0.111 0.546 0.500
B 0.138 0.969 0.500
B 0.216 0.816 0.500
B 0.284 0.316 0.500
B 0.362 0.469 0.500
B 0.389 0.046 0.500
B 0.476 0.190 0.500
B 0.524 0.810 0.500
B 0.611 0.954 0.500
B 0.638 0.531 0.500
B 0.716 0.684 0.500
B 0.784 0.184 0.500
B 0.862 0.031 0.500
B 0.889 0.454 0.500
B 0.976 0.310 0.500
Ru 0.135 0.411 0.000
Ru 0.365 0.911 0.000
Ru 0.635 0.089 0.000
Ru 0.865 0.589 0.000

SG = Pbam
formation enthalpy at 0 K = -418 meV/atom
crystal system = orthorhombic
total magnetization = 6.36 μB/f.u.